Record 1
Entry from the Materials Project: a relaxed structure of Y2Cr3O9 (PBE with a Hubbard U).

Unit cell a=5.254 b=7.552 c=16.325 alpha=90.11 beta=90.17 gamma=90.11
Atoms (fractional coordinates):
O 0.397 0.751 0.155
O 0.284 0.061 0.402
O 0.897 0.248 0.345
O 0.078 0.756 0.326
O 0.922 0.244 0.674
O 0.306 0.033 0.063
O 0.188 0.033 0.562
O 0.713 0.965 0.264
O 0.572 0.254 0.171
O 0.784 0.564 0.097
O 0.215 0.035 0.236
O 0.603 0.249 0.845
O 0.287 0.035 0.736
O 0.216 0.436 0.903
O 0.723 0.541 0.262
O 0.692 0.534 0.937
O 0.308 0.466 0.063
O 0.103 0.752 0.655
O 0.417 0.756 0.493
O 0.785 0.965 0.764
O 0.714 0.565 0.598
O 0.783 0.937 0.097
O 0.428 0.746 0.829
O 0.780 0.535 0.760
O 0.817 0.534 0.435
O 0.716 0.939 0.598
O 0.220 0.465 0.240
O 0.183 0.466 0.565
O 0.694 0.967 0.937
O 0.217 0.063 0.903
O 0.917 0.251 0.008
O 0.083 0.749 0.992
O 0.277 0.459 0.738
O 0.812 0.967 0.438
O 0.583 0.244 0.507
O 0.286 0.435 0.402
Cr 0.006 0.010 0.665
Cr 0.488 0.495 0.166
Cr 0.990 0.504 0.335
Cr 0.000 0.000 0.000
Cr 0.500 0.500 0.500
Cr 0.505 0.990 0.834
Cr 0.512 0.505 0.834
Cr 0.000 0.500 0.000
Cr 0.500 0.000 0.500
Cr 0.010 0.496 0.665
Cr 0.994 0.990 0.335
Cr 0.495 0.010 0.166
Y 0.511 0.749 0.017
Y 0.981 0.755 0.188
Y 0.988 0.752 0.517
Y 0.489 0.251 0.983
Y 0.517 0.755 0.687
Y 0.483 0.245 0.313
Y 0.012 0.248 0.483
Y 0.019 0.245 0.812

Calculated values
- SG: P-1



Record 2
Entry from the Materials Project: a relaxed structure of Mn3Cd2O8 (PBE with a Hubbard U).

Unit cell a=5.041 b=5.932 c=6.204 alpha=118.56 beta=106.34 gamma=90.00
Atoms (fractional coordinates):
O 0.387 0.325 0.207
O 0.387 0.882 0.207
O 0.049 0.396 0.793
O 0.951 0.604 0.207
O 0.900 0.097 0.194
O 0.100 0.903 0.806
O 0.613 0.675 0.793
O 0.613 0.118 0.793
Mn 0.500 0.000 0.000
Mn 0.000 0.257 0.000
Mn 0.000 0.743 0.000
Cd 0.343 0.281 0.561
Cd 0.657 0.719 0.439

Calculated values
- SG: C2/m



Record 3
Entry from the Materials Project: a relaxed structure of Ti3VFe2P6O24 (PBE with a Hubbard U).

Unit cell a=8.582 b=8.582 c=8.582 alpha=60.81 beta=60.81 gamma=60.81
Atoms (fractional coordinates):
O 0.187 0.391 0.990
O 0.497 0.118 0.315
O 0.814 0.618 0.998
O 0.564 0.761 0.413
O 0.264 0.052 0.903
O 0.990 0.187 0.391
O 0.090 0.741 0.943
O 0.903 0.264 0.052
O 0.315 0.497 0.118
O 0.511 0.884 0.678
O 0.943 0.090 0.741
O 0.118 0.315 0.497
O 0.052 0.903 0.264
O 0.761 0.413 0.564
O 0.678 0.511 0.884
O 0.618 0.998 0.814
O 0.741 0.943 0.090
O 0.998 0.814 0.618
O 0.413 0.564 0.761
O 0.391 0.990 0.187
O 0.884 0.678 0.511
O 0.238 0.586 0.447
O 0.586 0.447 0.238
O 0.447 0.238 0.586
P 0.458 0.044 0.748
P 0.249 0.543 0.955
P 0.044 0.748 0.458
P 0.543 0.955 0.249
P 0.748 0.458 0.044
P 0.955 0.249 0.543
Ti 0.857 0.857 0.857
Ti 0.354 0.354 0.354
Ti 0.645 0.645 0.645
V 0.141 0.141 0.141
Fe 0.001 0.001 0.001
Fe 0.501 0.501 0.501

Calculated values
- SG: R3



Record 4
Entry from the Materials Project: a relaxed structure of LiCoP5O15 (PBE with a Hubbard U).

Unit cell a=13.648 b=9.005 c=10.285 alpha=79.26 beta=90.00 gamma=90.00
Atoms (fractional coordinates):
P 0.073 0.193 0.914
P 0.640 0.521 0.750
P 0.140 0.479 0.750
P 0.251 0.996 0.521
P 0.249 0.996 0.021
P 0.751 0.004 0.979
P 0.917 0.813 0.574
P 0.749 0.004 0.479
P 0.427 0.193 0.414
P 0.583 0.813 0.074
P 0.142 0.479 0.252
P 0.642 0.521 0.248
P 0.573 0.807 0.586
P 0.927 0.807 0.086
P 0.358 0.479 0.752
P 0.417 0.187 0.926
P 0.360 0.479 0.250
P 0.858 0.521 0.748
P 0.083 0.187 0.426
P 0.860 0.521 0.250
O 0.373 0.498 0.605
O 0.654 0.896 0.489
O 0.541 0.932 0.141
O 0.127 0.498 0.105
O 0.346 0.104 0.511
O 0.511 0.904 0.654
O 0.072 0.560 0.828
O 0.833 0.880 0.467
O 0.353 0.303 0.818
O 0.986 0.719 0.506
O 0.763 0.113 0.849
O 0.737 0.113 0.349
O 0.982 0.709 0.003
O 0.748 0.467 0.724
O 0.018 0.291 0.997
O 0.076 0.565 0.330
O 0.873 0.502 0.895
O 0.333 0.120 0.033
O 0.766 0.075 0.599
O 0.846 0.896 0.989
O 0.014 0.281 0.494
O 0.647 0.697 0.182
O 0.234 0.925 0.401
O 0.624 0.501 0.898
O 0.237 0.887 0.151
O 0.428 0.560 0.328
O 0.489 0.096 0.346
O 0.424 0.565 0.830
O 0.627 0.502 0.395
O 0.752 0.467 0.224
O 0.514 0.719 0.006
O 0.376 0.499 0.102
O 0.357 0.301 0.310
O 0.248 0.533 0.776
O 0.876 0.501 0.398
O 0.928 0.440 0.172
O 0.143 0.301 0.810
O 0.263 0.887 0.651
O 0.853 0.697 0.682
O 0.167 0.120 0.533
O 0.252 0.533 0.276
O 0.518 0.709 0.503
O 0.572 0.440 0.672
O 0.734 0.075 0.099
O 0.147 0.303 0.318
O 0.124 0.499 0.602
O 0.924 0.435 0.670
O 0.643 0.699 0.690
O 0.011 0.096 0.846
O 0.041 0.068 0.359
O 0.667 0.880 0.967
O 0.266 0.925 0.901
O 0.959 0.932 0.641
O 0.576 0.435 0.170
O 0.989 0.904 0.154
O 0.486 0.281 0.994
O 0.459 0.068 0.859
O 0.482 0.291 0.497
O 0.154 0.104 0.011
O 0.857 0.699 0.190
Li 0.105 0.908 0.278
Li 0.395 0.908 0.778
Li 0.895 0.092 0.722
Li 0.605 0.092 0.222
Co 0.500 0.500 0.000
Co 0.000 0.500 0.500
Co 0.500 0.500 0.500
Co 0.000 0.500 0.000

Calculated values
- SG: P2_1/c



Record 5
Entry from the Materials Project: a relaxed structure of Li2MnSiO4 (PBE with a Hubbard U).

Unit cell a=5.072 b=6.324 c=10.972 alpha=90.00 beta=90.00 gamma=90.00
Atoms (fractional coordinates):
O 0.589 0.009 0.331
O 0.089 0.991 0.669
O 0.089 0.509 0.169
O 0.153 0.995 0.190
O 0.169 0.714 0.907
O 0.653 0.005 0.810
O 0.589 0.491 0.831
O 0.653 0.781 0.600
O 0.153 0.281 0.900
O 0.653 0.495 0.310
O 0.153 0.219 0.400
O 0.669 0.286 0.093
O 0.169 0.786 0.407
O 0.669 0.214 0.593
O 0.153 0.505 0.690
O 0.653 0.719 0.100
Si 0.764 0.998 0.668
Si 0.264 0.498 0.832
Si 0.264 0.002 0.332
Si 0.764 0.502 0.168
Li 0.758 0.498 0.674
Li 0.260 0.744 0.092
Li 0.760 0.256 0.908
Li 0.258 0.502 0.326
Li 0.258 0.998 0.826
Li 0.760 0.244 0.408
Li 0.758 0.002 0.174
Li 0.260 0.756 0.592
Mn 0.257 0.253 0.082
Mn 0.757 0.747 0.918
Mn 0.257 0.247 0.582
Mn 0.757 0.753 0.418

Calculated values
- SG: Pna2_1
- Maximum piezoelectric response: 0.890 C/m2



Record 6
Entry from the Materials Project: a relaxed structure of Li3Fe8B8O24 (PBE with a Hubbard U).

Unit cell a=5.297 b=9.092 c=10.124 alpha=89.42 beta=89.81 gamma=89.74
Atoms (fractional coordinates):
O 0.776 0.800 0.323
O 0.073 0.196 0.076
O 0.746 0.031 0.144
O 0.748 0.973 0.639
O 0.194 0.786 0.163
O 0.235 0.531 0.112
O 0.775 0.536 0.362
O 0.416 0.324 0.919
O 0.199 0.212 0.661
O 0.297 0.300 0.327
O 0.583 0.307 0.565
O 0.771 0.194 0.823
O 0.427 0.685 0.431
O 0.268 0.696 0.829
O 0.917 0.182 0.412
O 0.803 0.452 0.868
O 0.585 0.692 0.077
O 0.076 0.806 0.577
O 0.262 0.470 0.651
O 0.913 0.833 0.918
O 0.690 0.716 0.671
O 0.306 0.955 0.869
O 0.294 0.039 0.371
O 0.689 0.290 0.171
B 0.662 0.671 0.372
B 0.839 0.831 0.627
B 0.838 0.170 0.129
B 0.175 0.170 0.370
B 0.166 0.830 0.872
B 0.667 0.328 0.871
B 0.338 0.668 0.119
B 0.345 0.332 0.624
Fe 0.161 0.154 0.874
Fe 0.663 0.654 0.876
Fe 0.847 0.830 0.120
Fe 0.345 0.671 0.622
Fe 0.336 0.336 0.119
Fe 0.158 0.836 0.372
Fe 0.851 0.171 0.622
Fe 0.662 0.343 0.369
Li 0.652 0.986 0.833
Li 0.645 0.007 0.334
Li 0.157 0.490 0.844

Calculated values
- SG: P1



Record 7
Entry from the Materials Project: a relaxed structure of Li4Ti3V3Cr2O16 (PBE with a Hubbard U).

Unit cell a=5.925 b=5.925 c=9.628 alpha=89.88 beta=89.88 gamma=59.56
Atoms (fractional coordinates):
O 0.324 0.324 0.402
O 0.001 0.001 0.191
O 0.961 0.514 0.661
O 0.164 0.164 0.897
O 0.041 0.477 0.161
O 0.168 0.671 0.896
O 0.514 0.961 0.661
O 0.656 0.656 0.899
O 0.833 0.332 0.396
O 0.332 0.833 0.396
O 0.521 0.521 0.661
O 0.477 0.041 0.161
O 0.838 0.838 0.394
O 0.671 0.168 0.896
O 0.005 0.005 0.688
O 0.481 0.481 0.161
V 0.831 0.831 0.791
V 0.654 0.181 0.291
V 0.181 0.654 0.291
Li 0.669 0.669 0.107
Li 0.001 0.001 0.503
Li 0.998 0.998 0.006
Li 0.334 0.334 0.608
Cr 0.335 0.335 0.015
Cr 0.668 0.668 0.514
Ti 0.835 0.340 0.784
Ti 0.340 0.835 0.784
Ti 0.168 0.168 0.279

Calculated values
- SG: Cm



Record 8
Entry from the Materials Project: a relaxed structure of TaMnO4 (PBE with a Hubbard U).

Unit cell a=5.033 b=5.763 c=9.438 alpha=90.00 beta=92.27 gamma=90.00
Atoms (fractional coordinates):
O 0.929 0.613 0.860
O 0.573 0.124 0.614
O 0.571 0.613 0.140
O 0.071 0.387 0.640
O 0.429 0.387 0.860
O 0.927 0.124 0.886
O 0.071 0.387 0.140
O 0.429 0.387 0.360
O 0.073 0.876 0.114
O 0.929 0.613 0.360
O 0.427 0.876 0.386
O 0.927 0.124 0.386
O 0.073 0.876 0.614
O 0.427 0.876 0.886
O 0.571 0.613 0.640
O 0.573 0.124 0.114
Mn 0.750 0.841 0.000
Mn 0.750 0.841 0.500
Mn 0.250 0.159 0.500
Mn 0.250 0.159 0.000
Ta 0.250 0.668 0.750
Ta 0.750 0.332 0.750
Ta 0.750 0.332 0.250
Ta 0.250 0.668 0.250



Record 9
Entry from the Materials Project: a relaxed structure of LuVO4 (PBE with a Hubbard U).

Unit cell a=4.981 b=5.059 c=6.548 alpha=112.34 beta=111.96 gamma=90.94
Atoms (fractional coordinates):
Lu 0.624 0.874 0.748
Lu 0.376 0.126 0.252
V 0.870 0.620 0.240
V 0.130 0.380 0.760
O 0.697 0.557 0.411
O 0.051 0.718 0.916
O 0.786 0.147 0.589
O 0.635 0.803 0.084
O 0.303 0.443 0.589
O 0.949 0.282 0.084
O 0.214 0.853 0.411
O 0.365 0.197 0.916

Calculated values
- SG: C2/c



Record 10
Entry from the Materials Project: a relaxed structure of Co2SiO4 (PBE with a Hubbard U).

Unit cell a=10.413 b=4.819 c=7.703 alpha=51.67 beta=90.00 gamma=90.00
Atoms (fractional coordinates):
O 0.162 0.316 0.470
O 0.338 0.316 0.970
O 0.408 0.016 0.752
O 0.551 0.534 0.740
O 0.834 0.255 0.967
O 0.838 0.684 0.530
O 0.592 0.984 0.248
O 0.166 0.745 0.033
O 0.949 0.534 0.240
O 0.662 0.684 0.030
O 0.334 0.745 0.533
O 0.666 0.255 0.467
O 0.908 0.984 0.748
O 0.092 0.016 0.252
O 0.449 0.466 0.260
O 0.051 0.466 0.760
Co 0.225 0.245 0.749
Co 0.500 0.500 0.500
Co 0.775 0.755 0.251
Co 0.725 0.755 0.751
Co 0.275 0.245 0.249
Co 0.500 0.000 0.000
Co 0.000 0.500 0.000
Co 0.000 0.000 0.500
Si 0.594 0.322 0.251
Si 0.406 0.678 0.749
Si 0.906 0.322 0.751
Si 0.094 0.678 0.249

Calculated values
- SG: P2_1/c



no.,E_form (kJ/mol of formula units),electronic total energy (eV/atom)
1,-3364,-7.79
2,-2196,-6.24
3,-9712,-7.75
4,-4963,-6.81
5,-2061,-6.89
6,-9344,-7.16
7,-7507,-7.67
8,-1605,-8.84
9,-1839,-8.00
10,-1438,-6.90